## XeF2 (PBE-GGA)

Data for a relaxed XeF2 crystal.

DFT formation energy   -0.781 eV per atom
ρ   3.87 g cm⁻³

Lattice parameters (Å, degrees): 4.4837 4.4837 7.2248 90.00 90.00 90.00
Closest atoms and distances in Å follow each position.
Space group I4/mmm (No. 139)
Unique sites:
Xe  0.0000  0.0000  0.0000 (multiplicity 2)  2 F 2.08
F  0.0000  0.0000  0.2877 (multiplicity 4)  1 Xe 2.08